(1)
GGA-PBE Cr3N4, optimized geometry; electronic total energy = -0.64034 Ry/atom; energy relative to the lowest polymorph listed for this composition = 11.33 kcal/mol of atoms
1.0
6.770 -11.727 0.000
6.770 11.727 0.000
0.000 0.000 9.406
Cr N
18 24
Cartesian
7.997 -9.092 2.351
10.646 -0.255 2.351
1.669 -2.380 2.351
5.544 9.092 7.054
2.895 0.255 7.054
11.872 2.380 7.054
7.907 -9.319 8.606
10.888 -0.220 8.606
1.517 -2.188 8.606
5.634 9.319 3.903
2.653 0.220 3.903
12.024 2.188 3.903
7.907 -9.319 5.503
10.888 -0.220 5.503
1.517 -2.188 5.503
5.634 9.319 0.800
2.653 0.220 0.800
12.024 2.188 0.800
8.989 -7.882 2.351
9.102 -0.001 2.351
2.221 -3.843 2.351
4.552 7.882 7.054
4.439 0.001 7.054
11.320 3.843 7.054
7.003 -9.029 3.942
11.089 -1.147 3.942
2.220 -1.550 3.942
6.538 9.029 8.645
2.452 1.147 8.645
11.321 1.550 8.645
7.003 -9.029 0.761
11.089 -1.147 0.761
2.220 -1.550 0.761
6.538 9.029 5.464
2.452 1.147 5.464
11.321 1.550 5.464
6.996 -9.134 7.054
11.182 -1.101 7.054
2.133 -1.492 7.054
6.545 9.134 2.351
2.359 1.101 2.351
11.408 1.492 2.351

(2)
GGA-PBE CrN, optimized geometry; electronic total energy = -0.69301 Ry/atom
1.0
1.104 -2.284 1.470
6.136 4.776 2.813
-1.626 0.715 2.333
Cr N
4 4
Cartesian
4.280 2.750 3.985
0.061 0.047 0.028
1.212 0.362 2.577
2.607 0.867 5.237
4.126 2.050 5.934
5.828 3.956 4.692
1.580 1.230 0.725
2.761 1.568 3.287

| no. | formation enthalpy at 0 K (meV/atom) |
| --- | --- |
| 1 | -18 |
| 2 | -615 |